(1)
The following is a DFT calculation (PBE) of a geometry-optimized Si structure.

Properties
- Total DFT energy (no corrections): -9.8 eV for the cell shown
- Magnetization: 0.0 Bohr magnetons per cell
- SG: P6_3/mmc (194)
- ρ: 3.2 g/cm³
- Relative energy among the computed polymorphs: 513 meV/atom
- Formation energy: 49 kJ/mol of formula units

a b c (Å): 2.6394 2.6394 4.7641
angles (deg): 90.00 90.00 120.00
Fractional positions:
Si (0.3333, 0.6667, 0.7500)
Si (0.6667, 0.3333, 0.2500)

(2)
The following is a DFT calculation (PBE) of a geometry-optimized NbNO structure.

Properties
- Total DFT energy (no corrections): -113.1 eV for the cell shown
- SG: P2_1/c (14)
- ρ: 6.1 g/cm³
- Relative energy among the computed polymorphs: 0 meV/atom
- Corrected total energy (MP2020 scheme): -115.818 eV per cell
- Formation energy: -537 kJ/mol of formula units

a b c (Å): 5.0955 5.0464 5.2653
angles (deg): 80.16 90.00 90.00
Fractional positions:
Nb (0.5489, 0.7064, 0.7203)
Nb (0.0489, 0.2936, 0.7797)
Nb (0.4511, 0.2936, 0.2797)
Nb (0.9511, 0.7064, 0.2203)
N (0.2546, 0.5564, 0.9751)
N (0.7546, 0.4436, 0.5249)
N (0.7454, 0.4436, 0.0249)
N (0.2454, 0.5564, 0.4751)
O (0.6777, 0.9386, 0.3500)
O (0.1777, 0.0614, 0.1500)
O (0.3223, 0.0614, 0.6500)
O (0.8223, 0.9386, 0.8500)

Question: Which formula does entry 1 have?
Answer: Si